Record 1
The following is a PBE calculation of an optimized crystal structure of La2Co14B, from the Materials Project.

abc: 8.6292 8.6292 11.8804
angles: 90.00 90.00 90.00
Last column: nearest neighbours and their distance in Å.
Sites, in units of the cell vectors:
La 0.1445 0.1445 0.0000  1 B 2.86, 6 Co 2.97-3.04
La 0.2252 0.2252 0.5000  16 Co 2.99-3.28, 2 B 3.12
La 0.2748 0.7252 0.0000  16 Co 2.99-3.28, 2 B 3.12
La 0.3555 0.6445 0.5000  1 B 2.86, 6 Co 2.97-3.04
La 0.6445 0.3555 0.5000  1 B 2.86, 6 Co 2.97-3.04
La 0.7252 0.2748 0.0000  16 Co 2.99-3.28, 2 B 3.12
La 0.7748 0.7748 0.5000  16 Co 2.99-3.28, 2 B 3.12
La 0.8555 0.8555 0.0000  1 B 2.86, 6 Co 2.97-3.04
Co 0.0000 0.0000 0.3847  2 B 2.02
Co 0.0000 0.0000 0.6153  2 B 2.02
Co 0.0000 0.5000 0.0000  8 Co 2.47-2.53
Co 0.0000 0.5000 0.5000  8 Co 2.47-2.53
Co 0.0361 0.6393 0.1796  10 Co 2.35-2.59
Co 0.0361 0.6393 0.8204  10 Co 2.35-2.59
Co 0.0703 0.7241 0.3732  1 B 2.06
Co 0.0703 0.7241 0.6268  1 B 2.06
Co 0.0990 0.9010 0.2083  8 Co 2.35-2.58
Co 0.0990 0.9010 0.7917  8 Co 2.35-2.58
Co 0.1393 0.4639 0.3204  10 Co 2.35-2.59
Co 0.1393 0.4639 0.6796  10 Co 2.35-2.59
Co 0.1820 0.1820 0.2526  12 Co 2.58-2.73
Co 0.1820 0.1820 0.7474  12 Co 2.58-2.73
Co 0.2241 0.4297 0.1268  1 B 2.06
Co 0.2241 0.4297 0.8732  1 B 2.06
Co 0.2759 0.9297 0.3732  1 B 2.06
Co 0.2759 0.9297 0.6268  1 B 2.06
Co 0.3180 0.6820 0.2474  12 Co 2.58-2.73
Co 0.3180 0.6820 0.7526  12 Co 2.58-2.73
Co 0.3607 0.9639 0.1796  10 Co 2.35-2.59
Co 0.3607 0.9639 0.8204  10 Co 2.35-2.59
Co 0.4010 0.4010 0.2917  8 Co 2.35-2.58
Co 0.4010 0.4010 0.7083  8 Co 2.35-2.58
Co 0.4297 0.2241 0.1268  1 B 2.06
Co 0.4297 0.2241 0.8732  1 B 2.06
Co 0.4639 0.1393 0.3204  10 Co 2.35-2.59
Co 0.4639 0.1393 0.6796  10 Co 2.35-2.59
Co 0.5000 0.0000 0.0000  8 Co 2.47-2.53
Co 0.5000 0.0000 0.5000  8 Co 2.47-2.53
Co 0.5000 0.5000 0.1153  2 B 2.02
Co 0.5000 0.5000 0.8847  2 B 2.02
Co 0.5361 0.8607 0.3204  10 Co 2.35-2.59
Co 0.5361 0.8607 0.6796  10 Co 2.35-2.59
Co 0.5703 0.7759 0.1268  1 B 2.06
Co 0.5703 0.7759 0.8732  1 B 2.06
Co 0.5990 0.5990 0.2917  8 Co 2.35-2.58
Co 0.5990 0.5990 0.7083  8 Co 2.35-2.58
Co 0.6393 0.0361 0.1796  10 Co 2.35-2.59
Co 0.6393 0.0361 0.8204  10 Co 2.35-2.59
Co 0.6820 0.3180 0.2474  12 Co 2.58-2.73
Co 0.6820 0.3180 0.7526  12 Co 2.58-2.73
Co 0.7241 0.0703 0.3732  1 B 2.06
Co 0.7241 0.0703 0.6268  1 B 2.06
Co 0.7759 0.5703 0.1268  1 B 2.06
Co 0.7759 0.5703 0.8732  1 B 2.06
Co 0.8180 0.8180 0.2526  12 Co 2.58-2.73
Co 0.8180 0.8180 0.7474  12 Co 2.58-2.73
Co 0.8607 0.5361 0.3204  10 Co 2.35-2.59
Co 0.8607 0.5361 0.6796  10 Co 2.35-2.59
Co 0.9010 0.0990 0.2083  8 Co 2.35-2.58
Co 0.9010 0.0990 0.7917  8 Co 2.35-2.58
Co 0.9297 0.2759 0.3732  1 B 2.06
Co 0.9297 0.2759 0.6268  1 B 2.06
Co 0.9639 0.3607 0.1796  10 Co 2.35-2.59
Co 0.9639 0.3607 0.8204  10 Co 2.35-2.59
B 0.1214 0.8786 0.5000  6 Co 2.02-2.06
B 0.3786 0.3786 0.0000  6 Co 2.02-2.06
B 0.6214 0.6214 0.0000  6 Co 2.02-2.06
B 0.8786 0.1214 0.5000  6 Co 2.02-2.06

Properties
Uncorrected energy, eV/cell: -471.45
Space-group type: P4_2/mnm (136)
ΔE_f, meV/atom: -106



Record 2
The following is a PBE calculation of an optimized crystal structure of CsXeF7, from the Materials Project.

abc: 8.8097 8.8097 8.8097
angles: 90.00 90.00 90.00
Last column: nearest neighbours and their distance in Å.
Sites, in units of the cell vectors:
Cs 0.1000 0.1000 0.1000  12 F 3.19-3.56
Cs 0.4000 0.9000 0.6000  12 F 3.19-3.56
Cs 0.6000 0.4000 0.9000  12 F 3.19-3.56
Cs 0.9000 0.6000 0.4000  12 F 3.19-3.56
Xe 0.0969 0.5969 0.9031  7 F 2.06-2.14
Xe 0.4031 0.4031 0.4031  7 F 2.06-2.14
Xe 0.5969 0.9031 0.0969  7 F 2.06-2.14
Xe 0.9031 0.0969 0.5969  7 F 2.06-2.14
F 0.0433 0.9567 0.4567  1 Xe 2.14
F 0.0854 0.8238 0.8484  1 Xe 2.06
F 0.1049 0.6962 0.1169  1 Xe 2.08
F 0.1169 0.1049 0.6962  1 Xe 2.08
F 0.1516 0.5854 0.6762  1 Xe 2.06
F 0.1762 0.3484 0.4146  1 Xe 2.06
F 0.1962 0.3831 0.8951  1 Xe 2.08
F 0.3038 0.6169 0.3951  1 Xe 2.08
F 0.3238 0.6516 0.9146  1 Xe 2.06
F 0.3484 0.4146 0.1762  1 Xe 2.06
F 0.3831 0.8951 0.1962  1 Xe 2.08
F 0.3951 0.3038 0.6169  1 Xe 2.08
F 0.4146 0.1762 0.3484  1 Xe 2.06
F 0.4567 0.0433 0.9567  1 Xe 2.14
F 0.5433 0.5433 0.5433  1 Xe 2.14
F 0.5854 0.6762 0.1516  1 Xe 2.06
F 0.6049 0.8038 0.8831  1 Xe 2.08
F 0.6169 0.3951 0.3038  1 Xe 2.08
F 0.6516 0.9146 0.3238  1 Xe 2.06
F 0.6762 0.1516 0.5854  1 Xe 2.06
F 0.6962 0.1169 0.1049  1 Xe 2.08
F 0.8038 0.8831 0.6049  1 Xe 2.08
F 0.8238 0.8484 0.0854  1 Xe 2.06
F 0.8484 0.0854 0.8238  1 Xe 2.06
F 0.8831 0.6049 0.8038  1 Xe 2.08
F 0.8951 0.1962 0.3831  1 Xe 2.08
F 0.9146 0.3238 0.6516  1 Xe 2.06
F 0.9567 0.4567 0.0433  1 Xe 2.14

Properties
Piezoelectric modulus e_max, C/m²: 0.10
Uncorrected energy, eV/cell: -94.76
Space-group type: P2_13 (198)
ΔE_f, meV/atom: -1399



Record 3
The following is a PBE calculation of an optimized crystal structure of TiCr3Te4, from the Materials Project.

abc: 7.4369 7.4369 7.1249
angles: 118.03 118.03 31.96
Last column: nearest neighbours and their distance in Å.
Sites, in units of the cell vectors:
Ti 0.0000 0.0000 0.0000  6 Te 2.85, 2 Cr 3.09
Cr 0.2476 0.2476 0.2453  6 Te 2.81-2.87, 1 Ti 3.09, 1 Cr 3.15
Cr 0.5000 0.5000 0.5000  6 Te 2.83-2.85, 2 Cr 3.15
Cr 0.7524 0.7524 0.7547  6 Te 2.81-2.87, 1 Ti 3.09, 1 Cr 3.15
Te 0.1271 0.1271 0.7927  5 Cr 2.82-2.85, 1 Ti 2.85
Te 0.3738 0.3738 0.7063  4 Cr 2.81-2.87, 2 Ti 2.85
Te 0.6262 0.6262 0.2937  4 Cr 2.81-2.87, 2 Ti 2.85
Te 0.8729 0.8729 0.2073  5 Cr 2.82-2.85, 1 Ti 2.85

Properties
Uncorrected energy, eV/cell: -50.76
Space-group type: C2/m (12)
ΔE_f, meV/atom: -378



Record 4
The following is a PBE calculation of an optimized crystal structure of ScAg, from the Materials Project.

abc: 3.4447 3.4447 3.4447
angles: 90.00 90.00 90.00
Last column: nearest neighbours and their distance in Å.
Sites, in units of the cell vectors:
Sc 0.0000 0.0000 0.0000  8 Ag 2.98
Ag 0.5000 0.5000 0.5000  8 Sc 2.98

Properties
Uncorrected energy, eV/cell: -9.74
Space-group type: Pm-3m (221)
ΔE_f, meV/atom: -287



Record 5
The following is a PBE calculation of an optimized crystal structure of AlFeN2, from the Materials Project.

abc: 5.1120 10.5990 12.8056
angles: 90.00 90.00 90.00
Last column: nearest neighbours and their distance in Å.
Sites, in units of the cell vectors:
Al 0.1217 0.0413 0.1842  4 N 1.87-1.89
Al 0.1217 0.4587 0.6842  4 N 1.87-1.89
Al 0.1950 0.7066 0.5641  4 N 1.88-1.91
Al 0.1950 0.7934 0.0641  4 N 1.88-1.91
Al 0.3050 0.2066 0.5641  4 N 1.88-1.91
Al 0.3050 0.2934 0.0641  4 N 1.88-1.91
Al 0.3783 0.5413 0.1842  4 N 1.87-1.89
Al 0.3783 0.9587 0.6842  4 N 1.87-1.89
Al 0.6217 0.0413 0.3158  4 N 1.87-1.89
Al 0.6217 0.4587 0.8158  4 N 1.87-1.89
Al 0.6950 0.7066 0.9359  4 N 1.88-1.91
Al 0.6950 0.7934 0.4359  4 N 1.88-1.91
Al 0.8050 0.2066 0.9359  4 N 1.88-1.91
Al 0.8050 0.2934 0.4359  4 N 1.88-1.91
Al 0.8783 0.5413 0.3158  4 N 1.87-1.89
Al 0.8783 0.9587 0.8158  4 N 1.87-1.89
Fe 0.1545 0.5475 0.9402  4 N 1.85-1.92
Fe 0.1545 0.9525 0.4402  4 N 1.85-1.92
Fe 0.2101 0.7059 0.8046  4 N 1.90-1.99
Fe 0.2101 0.7941 0.3046  4 N 1.90-1.99
Fe 0.2899 0.2059 0.8046  4 N 1.90-1.99
Fe 0.2899 0.2941 0.3046  4 N 1.90-1.99
Fe 0.3455 0.0475 0.9402  4 N 1.85-1.92
Fe 0.3455 0.4525 0.4402  4 N 1.85-1.92
Fe 0.6545 0.5475 0.5598  4 N 1.85-1.92
Fe 0.6545 0.9525 0.0598  4 N 1.85-1.92
Fe 0.7101 0.7059 0.6954  4 N 1.90-1.99
Fe 0.7101 0.7941 0.1954  4 N 1.90-1.99
Fe 0.7899 0.2059 0.6954  4 N 1.90-1.99
Fe 0.7899 0.2941 0.1954  4 N 1.90-1.99
Fe 0.8455 0.0475 0.5598  4 N 1.85-1.92
Fe 0.8455 0.4525 0.0598  4 N 1.85-1.92
N 0.1431 0.2177 0.1818  2 Al 1.87-1.90, 2 Fe 1.92-1.99
N 0.1431 0.2823 0.6818  2 Al 1.87-1.90, 2 Fe 1.92-1.99
N 0.1754 0.2088 0.9456  2 Al 1.88-1.90, 2 Fe 1.90-1.92
N 0.1754 0.2912 0.4456  2 Al 1.88-1.90, 2 Fe 1.90-1.92
N 0.2097 0.0323 0.5677  2 Fe 1.86-1.87, 2 Al 1.89-1.91
N 0.2097 0.4677 0.0677  2 Fe 1.86-1.87, 2 Al 1.89-1.91
N 0.2202 0.0247 0.8056  2 Fe 1.85-1.95, 2 Al 1.89
N 0.2202 0.4753 0.3056  2 Fe 1.85-1.95, 2 Al 1.89
N 0.2798 0.5247 0.8056  2 Fe 1.85-1.95, 2 Al 1.89
N 0.2798 0.9753 0.3056  2 Fe 1.85-1.95, 2 Al 1.89
N 0.2903 0.5323 0.5677  2 Fe 1.86-1.87, 2 Al 1.89-1.91
N 0.2903 0.9677 0.0677  2 Fe 1.86-1.87, 2 Al 1.89-1.91
N 0.3246 0.7088 0.9456  2 Al 1.88-1.90, 2 Fe 1.90-1.92
N 0.3246 0.7912 0.4456  2 Al 1.88-1.90, 2 Fe 1.90-1.92
N 0.3569 0.7177 0.1818  2 Al 1.87-1.90, 2 Fe 1.92-1.99
N 0.3569 0.7823 0.6818  2 Al 1.87-1.90, 2 Fe 1.92-1.99
N 0.6431 0.2177 0.3182  2 Al 1.87-1.90, 2 Fe 1.92-1.99
N 0.6431 0.2823 0.8182  2 Al 1.87-1.90, 2 Fe 1.92-1.99
N 0.6754 0.2088 0.5544  2 Al 1.88-1.90, 2 Fe 1.90-1.92
N 0.6754 0.2912 0.0544  2 Al 1.88-1.90, 2 Fe 1.90-1.92
N 0.7097 0.0323 0.9323  2 Fe 1.86-1.87, 2 Al 1.89-1.91
N 0.7097 0.4677 0.4323  2 Fe 1.86-1.87, 2 Al 1.89-1.91
N 0.7202 0.0247 0.6944  2 Fe 1.85-1.95, 2 Al 1.89
N 0.7202 0.4753 0.1944  2 Fe 1.85-1.95, 2 Al 1.89
N 0.7798 0.5247 0.6944  2 Fe 1.85-1.95, 2 Al 1.89
N 0.7798 0.9753 0.1944  2 Fe 1.85-1.95, 2 Al 1.89
N 0.7903 0.5323 0.9323  2 Fe 1.86-1.87, 2 Al 1.89-1.91
N 0.7903 0.9677 0.4323  2 Fe 1.86-1.87, 2 Al 1.89-1.91
N 0.8246 0.7088 0.5544  2 Al 1.88-1.90, 2 Fe 1.90-1.92
N 0.8246 0.7912 0.0544  2 Al 1.88-1.90, 2 Fe 1.90-1.92
N 0.8569 0.7177 0.3182  2 Al 1.87-1.90, 2 Fe 1.92-1.99
N 0.8569 0.7823 0.8182  2 Al 1.87-1.90, 2 Fe 1.92-1.99

Properties
Uncorrected energy, eV/cell: -488.03
Space-group type: Pbca (61)
ΔE_f, meV/atom: -584



Record 6
The following is a PBE calculation of an optimized crystal structure of Na2MgInPS2O12, from the Materials Project.

abc: 8.9177 8.9177 22.8156
angles: 90.18 90.18 60.36
Last column: nearest neighbours and their distance in Å.
Sites, in units of the cell vectors:
Na 0.0012 0.9988 0.5000  6 O 2.45-2.74
Na 0.0040 0.6399 0.2507  5 O 2.39-2.57
Na 0.0327 0.6785 0.5809  6 O 2.40-2.66
Na 0.3241 0.3487 0.1666  5 O 2.45-2.70
Na 0.3443 0.9796 0.9140  5 O 2.39-2.56
Na 0.3487 0.3241 0.6666  5 O 2.45-2.70
Na 0.6399 0.0040 0.7507  5 O 2.39-2.57
Na 0.6679 0.6757 0.3337  6 O 2.50-2.67
Na 0.6757 0.6679 0.8337  6 O 2.50-2.67
Na 0.6785 0.0327 0.0809  6 O 2.40-2.66
Na 0.9796 0.3443 0.4140  5 O 2.39-2.56
Na 0.9988 0.0012 0.0000  6 O 2.45-2.74
Mg 0.0030 0.0097 0.8541  6 O 2.06-2.21
Mg 0.0097 0.0030 0.3541  6 O 2.06-2.21
Mg 0.3367 0.3507 0.0212  6 O 2.06-2.23
Mg 0.3507 0.3367 0.5212  6 O 2.06-2.23
Mg 0.6616 0.6851 0.6876  6 O 2.03-2.21
Mg 0.6851 0.6616 0.1876  6 O 2.03-2.21
In 0.0109 0.0144 0.6549  6 O 2.03-2.25
In 0.0144 0.0109 0.1549  6 O 2.03-2.25
In 0.3397 0.3402 0.3214  6 O 2.09-2.22
In 0.3402 0.3397 0.8214  6 O 2.09-2.22
In 0.6744 0.6862 0.4878  6 O 2.06-2.26
In 0.6862 0.6744 0.9878  6 O 2.06-2.26
P 0.0049 0.3054 0.2567  4 O 1.53-1.59
P 0.0468 0.6416 0.4222  4 O 1.53-1.59
P 0.3054 0.0049 0.7567  4 O 1.53-1.59
P 0.6416 0.0468 0.9222  4 O 1.53-1.59
P 0.6728 0.9777 0.5907  4 O 1.53-1.59
P 0.9777 0.6728 0.0907  4 O 1.53-1.59
S 0.0091 0.7108 0.7533  4 O 1.47-1.50
S 0.0459 0.3400 0.9210  4 O 1.47-1.49
S 0.3084 0.7139 0.2546  4 O 1.47-1.51
S 0.3400 0.0459 0.4210  4 O 1.47-1.49
S 0.3396 0.6381 0.9211  4 O 1.46-1.51
S 0.3823 0.6709 0.5870  4 O 1.46-1.51
S 0.3816 0.9690 0.0866  4 O 1.47-1.50
S 0.6381 0.3396 0.4211  4 O 1.46-1.51
S 0.6709 0.3823 0.0870  4 O 1.46-1.51
S 0.7108 0.0091 0.2533  4 O 1.47-1.50
S 0.7139 0.3084 0.7546  4 O 1.47-1.51
S 0.9690 0.3816 0.5866  4 O 1.47-1.50
O 0.0251 0.8220 0.4145  1 P 1.53
O 0.0342 0.1972 0.2002  1 P 1.55
O 0.0366 0.7809 0.6973  1 S 1.50
O 0.0375 0.1779 0.9149  1 S 1.49
O 0.1152 0.3748 0.8664  1 S 1.49
O 0.1219 0.5282 0.3654  1 P 1.58
O 0.1403 0.3725 0.5818  1 S 1.49
O 0.1544 0.5491 0.4770  1 P 1.54
O 0.1554 0.5139 0.0814  1 P 1.53
O 0.1556 0.3193 0.9720  1 S 1.47
O 0.1650 0.5376 0.7596  1 S 1.49
O 0.1683 0.3323 0.2574  1 P 1.59
O 0.1779 0.0375 0.4149  1 S 1.49
O 0.1875 0.8147 0.9157  1 S 1.49
O 0.1972 0.0342 0.7002  1 P 1.55
O 0.1973 0.7829 0.2008  1 S 1.50
O 0.2040 0.8267 0.5906  1 S 1.51
O 0.2045 0.9930 0.0906  1 S 1.49
O 0.2166 0.9910 0.8122  1 P 1.53
O 0.2217 0.8196 0.3063  1 S 1.47
O 0.3193 0.1556 0.4720  1 S 1.47
O 0.3194 0.5517 0.9722  1 S 1.46
O 0.3254 0.5370 0.2591  1 S 1.51
O 0.3323 0.1683 0.7574  1 P 1.59
O 0.3575 0.5179 0.5817  1 S 1.49
O 0.3660 0.5384 0.8658  1 S 1.49
O 0.3725 0.1403 0.0818  1 S 1.49
O 0.3748 0.1152 0.3664  1 S 1.49
O 0.4515 0.8699 0.0306  1 S 1.50
O 0.4569 0.6969 0.5323  1 S 1.49
O 0.4789 0.6988 0.2467  1 S 1.47
O 0.4872 0.6518 0.6387  1 S 1.46
O 0.4887 0.8449 0.7507  1 P 1.56
O 0.4900 0.8674 0.4256  1 S 1.49
O 0.4936 0.8771 0.1367  1 S 1.47
O 0.4972 0.6595 0.9254  1 S 1.51
O 0.5139 0.1554 0.5814  1 P 1.53
O 0.5179 0.3575 0.0817  1 S 1.49
O 0.5282 0.1219 0.8654  1 P 1.58
O 0.5370 0.3254 0.7591  1 S 1.51
O 0.5376 0.1650 0.2596  1 S 1.49
O 0.5384 0.3660 0.3658  1 S 1.49
O 0.5491 0.1544 0.9770  1 P 1.54
O 0.5517 0.3194 0.4722  1 S 1.46
O 0.6491 0.8649 0.9242  1 P 1.59
O 0.6518 0.4872 0.1387  1 S 1.46
O 0.6547 0.8897 0.6461  1 P 1.54
O 0.6595 0.4972 0.4254  1 S 1.51
O 0.6937 0.8515 0.2482  1 S 1.49
O 0.6969 0.4569 0.0323  1 S 1.49
O 0.6988 0.4789 0.7467  1 S 1.47
O 0.7177 0.8570 0.5357  1 P 1.57
O 0.7809 0.0366 0.1973  1 S 1.50
O 0.7829 0.1973 0.7008  1 S 1.50
O 0.8147 0.1875 0.4157  1 S 1.49
O 0.8196 0.2217 0.8063  1 S 1.47
O 0.8220 0.0251 0.9145  1 P 1.53
O 0.8267 0.2040 0.0906  1 S 1.51
O 0.8275 0.9826 0.3029  1 S 1.47
O 0.8449 0.4887 0.2507  1 P 1.56
O 0.8457 0.9879 0.5938  1 P 1.59
O 0.8515 0.6937 0.7482  1 S 1.49
O 0.8570 0.7177 0.0357  1 P 1.57
O 0.8649 0.6491 0.4242  1 P 1.59
O 0.8674 0.4900 0.9256  1 S 1.49
O 0.8699 0.4515 0.5306  1 S 1.50
O 0.8771 0.4936 0.6367  1 S 1.47
O 0.8897 0.6547 0.1461  1 P 1.54
O 0.9826 0.8275 0.8029  1 S 1.47
O 0.9879 0.8457 0.0938  1 P 1.59
O 0.9910 0.2166 0.3122  1 P 1.53
O 0.9930 0.2045 0.5906  1 S 1.49

Properties
Uncorrected energy, eV/cell: -696.32
Space-group type: Cc (9)
ΔE_f, meV/atom: -2328



Record 7
The following is a PBE calculation of an optimized crystal structure of BaLiMg6, from the Materials Project.

abc: 5.3947 6.8340 6.8340
angles: 60.16 90.00 90.00
Last column: nearest neighbours and their distance in Å.
Sites, in units of the cell vectors:
Ba 0.0000 0.0000 0.0000  10 Mg 3.41-3.42, 2 Li 3.43
Li 0.0000 0.5014 0.5014  10 Mg 3.30-3.49, 2 Ba 3.43
Mg 0.0000 0.5043 0.9896  8 Mg 3.30-3.53, 2 Li 3.35-3.49, 2 Ba 3.41-3.42
Mg 0.0000 0.9896 0.5043  8 Mg 3.30-3.53, 2 Li 3.35-3.49, 2 Ba 3.41-3.42
Mg 0.5000 0.3337 0.3337  2 Li 3.35, 10 Mg 3.38-3.44
Mg 0.5000 0.3518 0.8212  7 Mg 3.22-3.60, 2 Li 3.30, 2 Ba 3.41
Mg 0.5000 0.8212 0.3518  7 Mg 3.22-3.60, 2 Li 3.30, 2 Ba 3.41
Mg 0.5000 0.8242 0.8242  10 Mg 3.24-3.60, 2 Ba 3.41

Properties
Uncorrected energy, eV/cell: -12.54
Space-group type: Amm2 (38)
Offset from the most stable computed form, meV/atom: 38
ΔE_f, meV/atom: 112



Record 8
The following is a PBE calculation of an optimized crystal structure of SbAs, from the Materials Project.

abc: 4.3796 4.3796 4.3796
angles: 55.95 55.95 55.95
Last column: nearest neighbours and their distance in Å.
Sites, in units of the cell vectors:
Sb 0.0000 0.0000 0.0000  3 As 2.76
As 0.4603 0.4603 0.4603  3 Sb 2.76

Properties
Uncorrected energy, eV/cell: -8.82
Space-group type: R3m (160)
ΔE_f, meV/atom: -15